The following is a PBE calculation of an optimized crystal structure of KYP4O12, from the Materials Project database.

abc: 7.418 7.418 10.560
angles: 78.97 78.97 115.36
Sites, in units of the cell vectors:
O 0.091 0.487 0.114
O 0.359 0.499 0.911
O 0.191 0.702 0.603
O 0.501 0.641 0.589
O 0.529 0.272 0.936
O 0.809 0.298 0.397
O 0.641 0.501 0.089
O 0.247 0.185 0.826
O 0.157 0.136 0.085
O 0.513 0.909 0.386
O 0.185 0.247 0.326
O 0.843 0.864 0.915
O 0.298 0.809 0.897
O 0.471 0.728 0.064
O 0.487 0.091 0.614
O 0.702 0.191 0.103
O 0.815 0.753 0.674
O 0.136 0.157 0.585
O 0.864 0.843 0.415
O 0.272 0.529 0.436
O 0.909 0.513 0.886
O 0.728 0.471 0.564
O 0.753 0.815 0.174
O 0.499 0.359 0.411
K 0.815 0.185 0.750
K 0.185 0.815 0.250
P 0.745 0.697 0.557
P 0.303 0.255 0.943
P 0.627 0.286 0.497
P 0.255 0.303 0.443
P 0.714 0.373 0.003
P 0.286 0.627 0.997
P 0.373 0.714 0.503
P 0.697 0.745 0.057
Y 0.880 0.120 0.250
Y 0.120 0.880 0.750

The value obtained for the total energy is -7.38 eV/atom. As for the formation energy: -2.914 eV/atom. The total energy after the MP2020 corrections comes out at -7.84 eV per atom.



The following is a PBE calculation of an optimized crystal structure of KYP2O7, from the Materials Project database.

abc: 5.495 5.495 12.440
angles: 90.00 90.00 116.49
Sites, in units of the cell vectors:
Y 0.000 0.000 0.000
Y 0.000 0.000 0.500
P 0.644 0.356 0.630
P 0.356 0.644 0.130
P 0.644 0.356 0.870
P 0.356 0.644 0.370
O 0.226 0.333 0.123
O 0.773 0.227 0.555
O 0.333 0.226 0.623
O 0.667 0.774 0.377
O 0.667 0.774 0.123
O 0.227 0.773 0.055
O 0.333 0.226 0.877
O 0.718 0.282 0.750
O 0.226 0.333 0.377
O 0.227 0.773 0.445
O 0.774 0.667 0.623
O 0.773 0.227 0.945
O 0.282 0.718 0.250
O 0.774 0.667 0.877
K 0.304 0.696 0.750
K 0.696 0.304 0.250

The value obtained for the total energy is -7.51 eV/atom. The calculation puts the energy above the most stable polymorph in this dataset at 0.010 eV/atom. As for the formation energy: -3.123 eV/atom. The total energy after the MP2020 corrections comes out at -7.94 eV per atom.



The following is a PBE calculation of an optimized crystal structure of K2YZrP3O12, from the Materials Project database.

abc: 10.484 10.484 10.484
angles: 90.00 90.00 90.00
Sites, in units of the cell vectors:
O 0.585 0.148 0.992
O 0.425 0.832 0.234
O 0.992 0.585 0.148
O 0.791 0.264 0.025
O 0.352 0.008 0.085
O 0.709 0.736 0.525
O 0.291 0.236 0.975
O 0.937 0.798 0.044
O 0.764 0.475 0.209
O 0.456 0.063 0.298
O 0.798 0.044 0.937
O 0.063 0.298 0.456
O 0.264 0.025 0.791
O 0.415 0.648 0.508
O 0.075 0.168 0.734
O 0.852 0.492 0.915
O 0.832 0.234 0.425
O 0.209 0.764 0.475
O 0.525 0.709 0.736
O 0.563 0.202 0.544
O 0.766 0.925 0.668
O 0.437 0.702 0.956
O 0.702 0.956 0.437
O 0.025 0.791 0.264
O 0.332 0.266 0.575
O 0.044 0.937 0.798
O 0.234 0.425 0.832
O 0.475 0.209 0.764
O 0.956 0.437 0.702
O 0.648 0.508 0.415
O 0.975 0.291 0.236
O 0.236 0.975 0.291
O 0.492 0.915 0.852
O 0.575 0.332 0.266
O 0.736 0.525 0.709
O 0.508 0.415 0.648
O 0.085 0.352 0.008
O 0.148 0.992 0.585
O 0.168 0.734 0.075
O 0.734 0.075 0.168
O 0.915 0.852 0.492
O 0.668 0.766 0.925
O 0.298 0.456 0.063
O 0.544 0.563 0.202
O 0.266 0.575 0.332
O 0.925 0.668 0.766
O 0.008 0.085 0.352
O 0.202 0.544 0.563
P 0.532 0.772 0.870
P 0.728 0.130 0.032
P 0.228 0.370 0.968
P 0.870 0.532 0.772
P 0.272 0.630 0.468
P 0.370 0.968 0.228
P 0.630 0.468 0.272
P 0.468 0.272 0.630
P 0.772 0.870 0.532
P 0.032 0.728 0.130
P 0.968 0.228 0.370
P 0.130 0.032 0.728
K 0.804 0.196 0.696
K 0.567 0.433 0.933
K 0.933 0.567 0.433
K 0.067 0.067 0.067
K 0.433 0.933 0.567
K 0.696 0.804 0.196
K 0.304 0.304 0.304
K 0.196 0.696 0.804
Y 0.353 0.647 0.147
Y 0.853 0.853 0.853
Y 0.147 0.353 0.647
Y 0.647 0.147 0.353
Zr 0.088 0.912 0.412
Zr 0.588 0.588 0.588
Zr 0.412 0.088 0.912
Zr 0.912 0.412 0.088

The value obtained for the total energy is -7.63 eV/atom. As for the formation energy: -3.176 eV/atom. The total energy after the MP2020 corrections comes out at -8.06 eV per atom.



The following is a PBE calculation of an optimized crystal structure of K2Zn4P4O21, from the Materials Project database.

abc: 9.231 9.515 13.692
angles: 92.10 102.69 118.93
Sites, in units of the cell vectors:
P 0.176 0.199 0.463
P 0.659 0.225 0.118
P 0.824 0.801 0.537
P 0.962 0.945 0.139
P 0.771 0.344 0.680
P 0.229 0.656 0.320
P 0.341 0.775 0.882
P 0.038 0.055 0.861
O 0.189 0.045 0.449
O 0.066 0.880 0.101
O 0.684 0.216 0.745
O 0.032 0.459 0.991
O 0.811 0.955 0.551
O 0.682 0.398 0.130
O 0.923 0.332 0.659
O 0.634 0.305 0.577
O 0.775 0.196 0.204
O 0.968 0.541 0.009
O 0.607 0.181 0.363
O 0.793 0.891 0.051
O 0.393 0.819 0.637
O 0.316 0.784 0.255
O 0.172 0.487 0.263
O 0.933 0.865 0.834
O 0.225 0.804 0.796
O 0.318 0.602 0.870
O 0.067 0.135 0.166
O 0.828 0.513 0.737
O 0.902 0.867 0.230
O 0.366 0.695 0.423
O 0.179 0.236 0.576
O 0.472 0.130 0.129
O 0.098 0.133 0.770
O 0.322 0.818 0.987
O 0.659 0.650 0.553
O 0.207 0.109 0.949
O 0.341 0.350 0.447
O 0.576 0.754 0.119
O 0.984 0.812 0.609
O 0.016 0.188 0.391
O 0.375 0.493 0.646
O 0.077 0.668 0.341
O 0.424 0.246 0.881
O 0.528 0.870 0.871
O 0.754 0.300 0.390
O 0.821 0.764 0.424
O 0.246 0.700 0.610
O 0.934 0.120 0.899
O 0.678 0.182 0.013
O 0.625 0.507 0.354
Zn 0.016 0.834 0.358
Zn 0.598 0.427 0.480
Zn 0.402 0.573 0.520
Zn 0.751 0.040 0.964
Zn 0.984 0.166 0.642
Zn 0.015 0.259 0.257
Zn 0.249 0.960 0.036
Zn 0.985 0.741 0.743
K 0.639 0.603 0.879
K 0.336 0.077 0.681
K 0.664 0.923 0.319
K 0.361 0.397 0.121

The value obtained for the total energy is -5.69 eV/atom. As for the formation energy: -1.514 eV/atom. The total energy after the MP2020 corrections comes out at -5.80 eV per atom.